Density functional theory data (GGA-PBE) for a relaxed structure of CsMg4Al9Si9O36.

Symmetry   P1, No. 1
Electronic total energy   -438.18 eV/cell
Magnetization   0.01 μB/f.u.
Corrected total energy (MP2020 scheme)   -7.846 eV per atom

Unit cell a=9.520 b=9.862 c=9.888 alpha=60.34 beta=90.00 gamma=89.98
Positions (direct):
Cs: 0.000 0.000 0.000
Mg: 0.491 0.335 0.317
Mg: 0.491 0.667 0.661
Mg: 0.996 0.335 0.316
Mg: 0.996 0.667 0.661
Al: 0.244 0.115 0.256
Al: 0.244 0.631 0.100
Al: 0.492 0.497 0.996
Al: 0.492 0.502 0.491
Al: 0.494 0.001 0.491
Al: 0.743 0.260 0.101
Al: 0.992 0.001 0.490
Al: 0.994 0.498 0.995
Al: 0.995 0.502 0.490
Si: 0.242 0.735 0.372
Si: 0.243 0.269 0.616
Si: 0.243 0.378 0.880
Si: 0.243 0.897 0.723
Si: 0.743 0.102 0.625
Si: 0.743 0.373 0.724
Si: 0.743 0.624 0.260
Si: 0.743 0.731 0.889
Si: 0.743 0.886 0.372
O: 0.094 0.142 0.343
O: 0.094 0.517 0.131
O: 0.100 0.344 0.512
O: 0.101 0.489 0.849
O: 0.101 0.866 0.644
O: 0.102 0.650 0.485
O: 0.238 0.233 0.054
O: 0.238 0.697 0.233
O: 0.238 0.918 0.307
O: 0.239 0.786 0.907
O: 0.241 0.081 0.684
O: 0.241 0.309 0.758
O: 0.384 0.651 0.483
O: 0.385 0.487 0.850
O: 0.385 0.866 0.645
O: 0.386 0.345 0.512
O: 0.391 0.516 0.131
O: 0.393 0.142 0.344
O: 0.597 0.348 0.131
O: 0.601 0.518 0.338
O: 0.601 0.656 0.857
O: 0.603 0.130 0.520
O: 0.603 0.483 0.643
O: 0.603 0.856 0.482
O: 0.746 0.228 0.687
O: 0.746 0.699 0.070
O: 0.746 0.765 0.302
O: 0.746 0.922 0.774
O: 0.748 0.058 0.227
O: 0.748 0.301 0.908
O: 0.884 0.130 0.521
O: 0.884 0.483 0.642
O: 0.884 0.855 0.483
O: 0.885 0.518 0.337
O: 0.885 0.656 0.857
O: 0.890 0.347 0.130

***

Density functional theory data (GGA-PBE) for a relaxed structure of Hg3H4S2O11.

Symmetry   C2/c, No. 15
Electronic total energy   -192.93 eV/cell
Magnetization   0.00 μB/f.u.
Corrected total energy (MP2020 scheme)   -5.201 eV per atom

Unit cell a=5.827 b=5.827 c=14.813 alpha=95.58 beta=95.58 gamma=102.90
Positions (direct):
Hg: 0.000 0.500 0.000
Hg: 0.183 0.315 0.351
Hg: 0.315 0.183 0.851
Hg: 0.500 0.000 0.500
Hg: 0.685 0.817 0.149
Hg: 0.817 0.685 0.649
H: 0.177 0.643 0.212
H: 0.220 0.596 0.852
H: 0.357 0.823 0.288
H: 0.404 0.780 0.648
H: 0.596 0.220 0.352
H: 0.643 0.177 0.712
H: 0.780 0.404 0.148
H: 0.823 0.357 0.788
S: 0.125 0.308 0.605
S: 0.308 0.125 0.105
S: 0.692 0.875 0.895
S: 0.875 0.692 0.395
O: 0.084 0.750 0.466
O: 0.114 0.445 0.863
O: 0.117 0.129 0.669
O: 0.129 0.117 0.169
O: 0.132 0.552 0.661
O: 0.250 0.916 0.034
O: 0.332 0.668 0.250
O: 0.349 0.349 0.062
O: 0.349 0.349 0.562
O: 0.445 0.114 0.363
O: 0.448 0.868 0.839
O: 0.552 0.132 0.161
O: 0.555 0.886 0.637
O: 0.651 0.651 0.438
O: 0.651 0.651 0.938
O: 0.668 0.332 0.750
O: 0.750 0.084 0.966
O: 0.868 0.448 0.339
O: 0.871 0.883 0.831
O: 0.883 0.871 0.331
O: 0.886 0.555 0.137
O: 0.916 0.250 0.534

***

Density functional theory data (GGA-PBE) for a relaxed structure of K3InP2.

Symmetry   Ibam, No. 72
Electronic total energy   -38.26 eV/cell

Unit cell a=8.947 b=8.947 c=8.947 alpha=128.97 beta=70.56 gamma=134.75
Positions (direct):
K: 0.184 0.701 0.885
K: 0.250 0.250 0.000
K: 0.316 0.201 0.517
K: 0.684 0.799 0.483
K: 0.750 0.750 0.000
K: 0.816 0.299 0.115
In: 0.250 0.750 0.500
In: 0.750 0.250 0.500
P: 0.097 0.310 0.407
P: 0.403 0.810 0.213
P: 0.597 0.190 0.787
P: 0.903 0.690 0.593

***

Density functional theory data (GGA-PBE) for a relaxed structure of Na4HfMgSiP2O12.

Symmetry   Cc, No. 9
Electronic total energy   -876.27 eV/cell
Magnetization   0.00 μB/f.u.
Corrected total energy (MP2020 scheme)   -7.347 eV per atom

Unit cell a=9.113 b=9.113 c=22.246 alpha=90.14 beta=90.14 gamma=59.87
Positions (direct):
Na: 0.130 0.870 0.500
Na: 0.132 0.484 0.005
Na: 0.144 0.794 0.170
Na: 0.153 0.526 0.669
Na: 0.154 0.157 0.421
Na: 0.157 0.154 0.921
Na: 0.195 0.819 0.838
Na: 0.197 0.473 0.331
Na: 0.461 0.813 0.335
Na: 0.473 0.197 0.831
Na: 0.477 0.863 0.999
Na: 0.484 0.132 0.505
Na: 0.485 0.497 0.254
Na: 0.497 0.485 0.754
Na: 0.526 0.153 0.169
Na: 0.530 0.806 0.666
Na: 0.794 0.144 0.670
Na: 0.806 0.530 0.166
Na: 0.813 0.461 0.835
Na: 0.819 0.195 0.338
Na: 0.819 0.835 0.587
Na: 0.835 0.819 0.087
Na: 0.863 0.477 0.499
Na: 0.870 0.130 0.000
Hf: 0.160 0.160 0.266
Hf: 0.160 0.160 0.766
Hf: 0.487 0.496 0.100
Hf: 0.496 0.487 0.600
Hf: 0.829 0.831 0.433
Hf: 0.831 0.829 0.933
Mg: 0.158 0.160 0.066
Mg: 0.160 0.158 0.566
Mg: 0.493 0.494 0.899
Mg: 0.494 0.493 0.399
Mg: 0.820 0.835 0.732
Mg: 0.835 0.820 0.232
Si: 0.128 0.823 0.330
Si: 0.156 0.456 0.163
Si: 0.198 0.792 0.996
Si: 0.456 0.156 0.663
Si: 0.792 0.198 0.496
Si: 0.823 0.128 0.830
P: 0.120 0.534 0.830
P: 0.160 0.865 0.663
P: 0.199 0.492 0.497
P: 0.455 0.867 0.163
P: 0.492 0.199 0.997
P: 0.492 0.787 0.497
P: 0.534 0.120 0.330
P: 0.534 0.824 0.830
P: 0.787 0.492 0.997
P: 0.824 0.534 0.330
P: 0.865 0.160 0.163
P: 0.867 0.455 0.663
O: 0.000 0.140 0.828
O: 0.003 0.859 0.390
O: 0.004 0.617 0.887
O: 0.009 0.801 0.994
O: 0.009 0.836 0.671
O: 0.018 0.655 0.493
O: 0.034 0.641 0.774
O: 0.039 0.795 0.272
O: 0.130 0.975 0.609
O: 0.132 0.366 0.105
O: 0.134 0.354 0.827
O: 0.140 0.000 0.328
O: 0.172 0.981 0.004
O: 0.177 0.337 0.504
O: 0.189 0.951 0.720
O: 0.193 0.334 0.223
O: 0.280 0.527 0.554
O: 0.286 0.668 0.056
O: 0.297 0.510 0.837
O: 0.308 0.468 0.442
O: 0.314 0.704 0.938
O: 0.316 0.658 0.337
O: 0.328 0.688 0.660
O: 0.334 0.193 0.723
O: 0.335 0.468 0.161
O: 0.337 0.177 0.004
O: 0.338 0.966 0.504
O: 0.339 0.948 0.220
O: 0.354 0.134 0.327
O: 0.355 0.991 0.826
O: 0.366 0.132 0.605
O: 0.372 0.974 0.108
O: 0.466 0.704 0.442
O: 0.468 0.308 0.942
O: 0.468 0.335 0.661
O: 0.475 0.685 0.160
O: 0.509 0.671 0.837
O: 0.510 0.297 0.337
O: 0.521 0.674 0.554
O: 0.527 0.280 0.054
O: 0.617 0.004 0.387
O: 0.617 0.856 0.887
O: 0.632 0.847 0.172
O: 0.641 0.034 0.274
O: 0.644 0.797 0.775
O: 0.645 0.991 0.668
O: 0.655 0.018 0.993
O: 0.658 0.316 0.837
O: 0.659 0.798 0.493
O: 0.668 0.286 0.556
O: 0.671 0.509 0.337
O: 0.674 0.521 0.054
O: 0.685 0.475 0.660
O: 0.688 0.328 0.160
O: 0.704 0.314 0.438
O: 0.704 0.466 0.942
O: 0.795 0.039 0.772
O: 0.797 0.644 0.275
O: 0.798 0.659 0.993
O: 0.801 0.009 0.494
O: 0.836 0.009 0.171
O: 0.847 0.632 0.672
O: 0.856 0.617 0.387
O: 0.859 0.003 0.890
O: 0.948 0.339 0.720
O: 0.951 0.189 0.220
O: 0.966 0.338 0.004
O: 0.974 0.372 0.608
O: 0.975 0.130 0.109
O: 0.981 0.172 0.504
O: 0.991 0.355 0.326
O: 0.991 0.645 0.168

***

Density functional theory data (GGA-PBE) for a relaxed structure of CaNiN.

Symmetry   P4_2/mmc, No. 131
Electronic total energy   -36.29 eV/cell
Corrected total energy (MP2020 scheme)   -6.169 eV per atom

Unit cell a=3.558 b=3.558 c=7.069 alpha=90.00 beta=90.00 gamma=90.00
Positions (direct):
Ca: 0.000 0.000 0.250
Ca: 0.000 0.000 0.750
Ni: 0.500 0.500 0.000
Ni: 0.500 0.500 0.500
N: 0.000 0.500 0.000
N: 0.500 0.000 0.500

***

Density functional theory data (GGA-PBE) for a relaxed structure of SrWN3.

Symmetry   C2/m, No. 12
Electronic total energy   -85.69 eV/cell
Corrected total energy (MP2020 scheme)   -8.785 eV per atom

Unit cell a=6.554 b=6.554 c=6.713 alpha=103.29 beta=103.29 gamma=33.98
Positions (direct):
Sr: 0.118 0.118 0.334
Sr: 0.882 0.882 0.666
W: 0.347 0.347 0.132
W: 0.653 0.653 0.868
N: 0.181 0.181 0.978
N: 0.346 0.346 0.399
N: 0.499 0.499 0.104
N: 0.501 0.501 0.896
N: 0.654 0.654 0.601
N: 0.819 0.819 0.022

***

Table of ρ (Mg/m³), in record order: 2.679, 5.801, 2.520, 3.596, 4.185, 6.656